(1)
Compound: KBaV5O18
Source: Materials Project
Functional: GGA+U
Structure: relaxed

Cell: 9.810 16.759 10.914 Å, 90.00 121.68 90.00°
Fractional positions:
K  0.198  0.088  0.203
K  0.198  0.412  0.703
K  0.802  0.588  0.297
K  0.802  0.912  0.797
Ba  0.324  0.618  0.939
Ba  0.324  0.882  0.439
Ba  0.676  0.118  0.561
Ba  0.676  0.382  0.061
V  0.186  0.049  0.804
V  0.186  0.451  0.304
V  0.286  0.581  0.543
V  0.286  0.919  0.043
V  0.388  0.059  0.658
V  0.388  0.441  0.158
V  0.422  0.195  0.865
V  0.422  0.305  0.365
V  0.484  0.571  0.389
V  0.484  0.929  0.889
V  0.516  0.071  0.111
V  0.516  0.429  0.611
V  0.578  0.695  0.635
V  0.578  0.805  0.135
V  0.612  0.559  0.842
V  0.612  0.941  0.342
V  0.714  0.081  0.957
V  0.714  0.419  0.457
V  0.814  0.549  0.696
V  0.814  0.951  0.196
O  0.008  0.543  0.755
O  0.008  0.957  0.255
O  0.026  0.743  0.213
O  0.026  0.757  0.713
O  0.082  0.220  0.405
O  0.082  0.280  0.905
O  0.096  0.677  0.052
O  0.096  0.823  0.552
O  0.098  0.592  0.494
O  0.098  0.908  0.994
O  0.194  0.039  0.639
O  0.194  0.461  0.139
O  0.202  0.701  0.172
O  0.202  0.799  0.672
O  0.222  0.156  0.816
O  0.222  0.344  0.316
O  0.269  0.565  0.354
O  0.269  0.935  0.854
O  0.292  0.042  0.019
O  0.292  0.458  0.519
O  0.356  0.683  0.558
O  0.356  0.817  0.058
O  0.359  0.047  0.493
O  0.359  0.453  0.993
O  0.380  0.564  0.740
O  0.380  0.936  0.240
O  0.381  0.165  0.684
O  0.381  0.335  0.184
O  0.408  0.206  0.363
O  0.408  0.294  0.863
O  0.434  0.562  0.210
O  0.434  0.938  0.710
O  0.462  0.052  0.894
O  0.462  0.448  0.394
O  0.483  0.170  0.067
O  0.483  0.330  0.567
O  0.517  0.670  0.433
O  0.517  0.830  0.933
O  0.538  0.552  0.606
O  0.538  0.948  0.106
O  0.566  0.062  0.290
O  0.566  0.438  0.790
O  0.592  0.706  0.137
O  0.592  0.794  0.637
O  0.619  0.665  0.816
O  0.619  0.835  0.316
O  0.620  0.064  0.760
O  0.620  0.436  0.260
O  0.641  0.547  0.007
O  0.641  0.953  0.507
O  0.644  0.183  0.942
O  0.644  0.317  0.442
O  0.708  0.542  0.481
O  0.708  0.958  0.981
O  0.731  0.065  0.146
O  0.731  0.435  0.646
O  0.778  0.656  0.684
O  0.778  0.844  0.184
O  0.798  0.201  0.328
O  0.798  0.299  0.828
O  0.806  0.539  0.861
O  0.806  0.961  0.361
O  0.902  0.092  0.006
O  0.902  0.408  0.506
O  0.904  0.177  0.448
O  0.904  0.323  0.948
O  0.918  0.720  0.095
O  0.918  0.780  0.595
O  0.974  0.243  0.287
O  0.974  0.257  0.787
O  0.992  0.043  0.745
O  0.992  0.457  0.245

Results
DFT formation energy = -1.80 eV per atom
raw total energy = -6.843 eV per atom

***

(2)
Compound: K4BaV6O18
Source: Materials Project
Functional: GGA+U
Structure: relaxed

Cell: 10.268 10.268 10.268 Å, 84.94 84.94 84.94°
Fractional positions:
K  0.000  0.000  0.000
K  0.004  0.423  0.585
K  0.085  0.923  0.504
K  0.423  0.585  0.004
K  0.500  0.500  0.500
K  0.504  0.085  0.923
K  0.585  0.004  0.423
K  0.923  0.504  0.085
Ba  0.255  0.255  0.255
Ba  0.755  0.755  0.755
V  0.102  0.665  0.794
V  0.165  0.602  0.294
V  0.206  0.329  0.898
V  0.294  0.165  0.602
V  0.329  0.898  0.206
V  0.398  0.829  0.706
V  0.602  0.294  0.165
V  0.665  0.794  0.102
V  0.706  0.398  0.829
V  0.794  0.102  0.665
V  0.829  0.706  0.398
V  0.898  0.206  0.329
O  0.002  0.728  0.914
O  0.022  0.681  0.657
O  0.084  0.262  0.991
O  0.148  0.493  0.837
O  0.157  0.181  0.522
O  0.181  0.522  0.157
O  0.228  0.502  0.414
O  0.242  0.755  0.262
O  0.255  0.742  0.762
O  0.262  0.242  0.755
O  0.262  0.991  0.084
O  0.328  0.990  0.334
O  0.334  0.328  0.990
O  0.337  0.993  0.648
O  0.414  0.228  0.502
O  0.490  0.828  0.834
O  0.491  0.762  0.584
O  0.493  0.837  0.148
O  0.502  0.414  0.228
O  0.522  0.157  0.181
O  0.584  0.491  0.762
O  0.648  0.337  0.993
O  0.657  0.022  0.681
O  0.681  0.657  0.022
O  0.728  0.914  0.002
O  0.742  0.762  0.255
O  0.755  0.262  0.242
O  0.762  0.255  0.742
O  0.762  0.584  0.491
O  0.828  0.834  0.490
O  0.834  0.490  0.828
O  0.837  0.148  0.493
O  0.914  0.002  0.728
O  0.990  0.334  0.328
O  0.991  0.084  0.262
O  0.993  0.648  0.337

Results
DFT formation energy = -2.50 eV per atom
raw total energy = -6.896 eV per atom